Computed, not measured: Gd2Ga8Co after structural relaxation at the PBE level of DFT.

POSCAR file:
```
Gd2Ga8Co
1.0
4.282 0.000 0.000
0.000 4.282 0.000
0.000 0.000 11.083
Gd Ga Co
2 8 1
Direct
0.000 0.000 0.194
0.000 0.000 0.806
0.000 0.500 0.000
0.000 0.500 0.385
0.000 0.500 0.615
0.500 0.000 0.000
0.500 0.000 0.385
0.500 0.000 0.615
0.500 0.500 0.202
0.500 0.500 0.798
0.000 0.000 0.500
```

Values from the calculation:
- Space group: P4/mmm
- DFT formation energy: -0.49 eV per atom



Computed, not measured: Gd2Ga9Co3 after structural relaxation at the PBE level of DFT.

POSCAR file:
```
Gd2Ga9Co3
1.0
6.399 -3.716 0.000
6.399 3.716 0.000
0.000 0.000 9.457
Gd Ga Co
4 18 6
Direct
0.003 0.669 0.750
0.331 0.997 0.750
0.669 0.003 0.250
0.997 0.331 0.250
0.001 0.666 0.072
0.001 0.666 0.428
0.122 0.878 0.250
0.334 0.666 0.557
0.334 0.666 0.943
0.334 0.999 0.072
0.334 0.999 0.428
0.337 0.450 0.250
0.450 0.337 0.750
0.550 0.663 0.250
0.663 0.550 0.750
0.666 0.001 0.572
0.666 0.001 0.928
0.666 0.334 0.057
0.666 0.334 0.443
0.878 0.122 0.750
0.999 0.334 0.572
0.999 0.334 0.928
0.000 0.000 0.000
0.000 0.000 0.500
0.329 0.329 0.000
0.329 0.329 0.500
0.671 0.671 0.000
0.671 0.671 0.500
```

Values from the calculation:
- Space group: Cmcm
- DFT formation energy: -0.48 eV per atom



Computed, not measured: Ga3Co4Ge after structural relaxation at the PBE level of DFT.

POSCAR file:
```
Ga3Co4Ge
1.0
3.306 1.909 2.652
-3.306 1.909 2.652
0.000 -3.818 2.652
Ga Co Ge
3 4 1
Direct
0.108 0.601 0.290
0.290 0.108 0.601
0.601 0.290 0.108
0.084 0.084 0.084
0.309 0.592 0.809
0.592 0.809 0.309
0.809 0.309 0.592
0.789 0.789 0.789
```

Values from the calculation:
- Magnetization: 2.470 μB per formula unit
- Space group: R3
- DFT formation energy: -0.23 eV per atom